Na14Ca4In4Si5S7O48: optimized geometry, GGA-PBE.

Unit cell a=18.7502 b=9.3454 c=22.9039 alpha=89.90 beta=89.84 gamma=119.85
Sites, in units of the cell vectors:
1 S 0.5171 0.3658 0.9148
2 S 0.8389 0.0243 0.0855
3 S 0.5144 0.6634 0.4166
4 S 0.8564 0.7112 0.2485
5 S 0.3543 0.9989 0.7483
6 S 0.9867 0.6427 0.0847
7 S 0.9946 0.6918 0.7490
8 S 0.8135 0.6677 0.9183
9 S 0.4943 0.2968 0.2491
10 S 0.3490 0.6996 0.2502
11 S 0.3152 0.9642 0.4181
12 S 0.8509 0.0018 0.7498
13 S 0.3368 0.6520 0.5821
14 S 0.8173 0.9654 0.4155
15 S 0.3324 0.0253 0.0842
16 S 0.4870 0.3281 0.5822
17 S 0.0001 0.3038 0.2501
18 S 0.8328 0.6401 0.5827
19 S 0.3169 0.6714 0.9182
20 S 0.0175 0.6648 0.4132
21 S 0.0153 0.3658 0.9174
22 Na 0.4931 0.3044 0.4218
23 Na 0.5082 0.6528 0.2338
24 Na 0.8097 0.3118 0.3354
25 Na 0.1852 0.0203 0.7501
26 Na 0.5162 0.0080 0.5061
27 Na 0.6447 0.9706 0.0776
28 Na 0.1696 0.2767 0.9133
29 Na 0.6522 0.6486 0.1613
30 Na 0.6655 0.2725 0.9156
31 Na 0.8076 0.9969 0.2467
32 Na 0.6521 0.3210 0.5829
33 Na 0.8220 0.6755 0.0842
34 Na 0.4858 0.6802 0.9164
35 Na 0.8383 0.6483 0.4181
36 Na 0.9882 0.2981 0.4356
37 Na 0.6723 0.9965 0.7501
38 Na 0.8392 0.0221 0.9105
39 Na 0.3405 0.0340 0.9109
40 Na 0.3438 0.6571 0.4182
41 Na 0.3196 0.6166 0.7509
42 Na 0.9922 0.6814 0.9162
43 Na 0.1861 0.3555 0.2523
44 Na 0.3177 0.3075 0.3295
45 Na 0.0165 0.0288 0.0011
46 Na 0.1565 0.9900 0.0725
47 Na 0.0083 0.6544 0.2440
48 Na 0.1679 0.0630 0.4234
49 Na 0.3282 0.3364 0.8251
50 Na 0.5070 0.3781 0.7440
51 Na 0.8128 0.3214 0.8269
52 Na 0.3358 0.6786 0.0813
53 Na 0.3247 0.9722 0.5929
54 Na 0.6607 0.6716 0.6709
55 Na 0.0131 0.0201 0.5095
56 Na 0.1722 0.6716 0.1641
57 Na 0.6796 0.3465 0.2512
58 Na 0.0077 0.3622 0.7342
59 Na 0.1545 0.6537 0.6640
60 Na 0.5148 0.0062 0.0041
61 Na 0.8327 0.9891 0.5878
62 Na 0.1465 0.3185 0.5863
63 Na 0.6678 0.0593 0.4209
64 O 0.8977 0.8144 0.1952
65 O 0.5568 0.4612 0.8610
66 O 0.6656 0.4969 0.7542
67 O 0.5782 0.6800 0.0865
68 O 0.9363 0.3652 0.9245
69 O 0.4349 0.5072 0.4237
70 O 0.2622 0.6692 0.2498
71 O 0.6227 0.2024 0.8078
72 O 0.7724 0.6885 0.2493
73 O 0.9987 0.7973 0.6995
74 O 0.0733 0.6762 0.0828
75 O 0.9026 0.8087 0.5925
76 O 0.1759 0.8381 0.5766
77 O 0.4314 0.5577 0.0275
78 O 0.4981 0.8039 0.4148
79 O 0.4002 0.0111 0.8019
80 O 0.5871 0.6862 0.7539
81 O 0.0858 0.0001 0.5879
82 O 0.2369 0.0991 0.6378
83 O 0.9883 0.8068 0.0858
84 O 0.9352 0.3469 0.6428
85 O 0.5822 0.1871 0.4217
86 O 0.7459 0.1661 0.2474
87 O 0.2517 0.3651 0.4150
88 O 0.9984 0.1925 0.9154
89 O 0.5736 0.4693 0.5807
90 O 0.2583 0.6583 0.5793
91 O 0.8204 0.5253 0.6313
92 O 0.5889 0.0142 0.5878
93 O 0.7603 0.6387 0.8671
94 O 0.8526 0.1236 0.0324
95 O 0.4989 0.2008 0.1996
96 O 0.3316 0.1373 0.4216
97 O 0.8295 0.1350 0.4183
98 O 0.9300 0.3329 0.2425
99 O 0.0089 0.2137 0.1995
100 O 0.9245 0.5204 0.7437
101 O 0.7654 0.8603 0.7502
102 O 0.5524 0.6483 0.3622
103 O 0.2624 0.8932 0.3651
104 O 0.5964 0.2359 0.6913
105 O 0.8300 0.5266 0.9207
106 O 0.6624 0.8335 0.2479
107 O 0.4060 0.8255 0.5880
108 O 0.2462 0.1704 0.2391
109 O 0.2712 0.8484 0.7488
110 O 0.5855 0.1724 0.0866
111 O 0.8538 0.5498 0.2451
112 O 0.4839 0.8187 0.0905
113 O 0.3968 0.8281 0.9164
114 O 0.3296 0.5267 0.9200
115 O 0.9399 0.5574 0.0322
116 O 0.4419 0.3209 0.5280
117 O 0.7374 0.0997 0.6383
118 O 0.7158 0.1241 0.5217
119 O 0.0905 0.2127 0.6952
120 O 0.7514 0.3554 0.4206
121 O 0.1595 0.8229 0.2533
122 O 0.0038 0.8087 0.4104
123 O 0.3926 0.7811 0.3042
124 O 0.2736 0.8652 0.4704
125 O 0.4466 0.3452 0.6342
126 O 0.4862 0.2116 0.3053
127 O 0.8960 0.0104 0.8037
128 O 0.3288 0.5495 0.6333
129 O 0.9369 0.5116 0.4187
130 O 0.1607 0.4799 0.4717
131 O 0.8941 0.8241 0.9123
132 O 0.1776 0.4875 0.3538
133 O 0.4023 0.9968 0.0939
134 O 0.8476 0.1597 0.7477
135 O 0.8457 0.5783 0.5269
136 O 0.0867 0.1673 0.0893
137 O 0.6738 0.8352 0.5778
138 O 0.9481 0.5491 0.1385
139 O 0.3976 0.9859 0.6952
140 O 0.1114 0.2090 0.8119
141 O 0.0560 0.6490 0.3578
142 O 0.6750 0.5146 0.0766
143 O 0.3440 0.5331 0.2491
144 O 0.2343 0.3726 0.1432
145 O 0.7473 0.3169 0.7393
146 O 0.5931 0.9764 0.1955
147 O 0.2505 0.1455 0.9211
148 O 0.4895 0.1692 0.5847
149 O 0.5708 0.4429 0.9660
150 O 0.4373 0.5262 0.1458
151 O 0.0733 0.6863 0.7477
152 O 0.2150 0.1288 0.5220
153 O 0.7324 0.3767 0.1420
154 O 0.0916 0.9512 0.1934
155 O 0.4234 0.3266 0.2443
156 O 0.7744 0.6823 0.9727
157 O 0.4798 0.7564 0.8147
158 O 0.0703 0.4429 0.9687
159 O 0.7684 0.8864 0.3628
160 O 0.0788 0.4748 0.5870
161 O 0.3904 0.7976 0.1978
162 O 0.7753 0.8671 0.4688
163 O 0.0723 0.6935 0.4631
164 O 0.1740 0.5126 0.0791
165 O 0.2422 0.3207 0.7466
166 O 0.9860 0.7597 0.8052
167 O 0.6586 0.4699 0.4754
168 O 0.9361 0.3107 0.5245
169 O 0.1733 0.8742 0.8609
170 O 0.7525 0.1434 0.9164
171 O 0.6759 0.4682 0.3572
172 O 0.0816 0.9774 0.9220
173 O 0.6828 0.8682 0.8602
174 O 0.0784 0.4677 0.2515
175 O 0.3493 0.5814 0.5280
176 O 0.4365 0.3594 0.9205
177 O 0.2664 0.6521 0.8663
178 O 0.0845 0.1991 0.4174
179 O 0.0542 0.4585 0.8637
180 O 0.4229 0.5009 0.7456
181 O 0.6637 0.8561 0.9778
182 O 0.5027 0.1945 0.9116
183 O 0.7553 0.6514 0.5811
184 O 0.8925 0.9857 0.6972
185 O 0.2745 0.6801 0.9726
186 O 0.2165 0.3002 0.0267
187 O 0.9091 0.9901 0.0911
188 O 0.9029 0.7954 0.3014
189 O 0.3441 0.1136 0.0290
190 O 0.1563 0.8501 0.9795
191 O 0.9865 0.2080 0.3040
192 O 0.9829 0.1474 0.5896
193 O 0.5700 0.6945 0.4670
194 O 0.8988 0.9731 0.4131
195 O 0.6145 0.0224 0.3121
196 O 0.5119 0.8119 0.6999
197 O 0.3189 0.1119 0.1336
198 O 0.3460 0.1484 0.7451
199 O 0.1209 0.0389 0.3077
200 O 0.3948 0.9673 0.4115
201 O 0.7616 0.8607 0.0819
202 O 0.1620 0.4928 0.7474
203 O 0.2550 0.8577 0.0826
204 O 0.8319 0.1088 0.1379
205 O 0.5858 0.9750 0.9190
206 O 0.5724 0.4607 0.2477
207 O 0.7200 0.3054 0.0266
208 In 0.0074 0.0079 0.6509
209 In 0.6503 0.6540 0.0206
210 In 0.5084 0.0081 0.1496
211 In 0.5150 0.0030 0.6579
212 In 0.1636 0.6591 0.0159
213 In 0.1727 0.6801 0.3167
214 In 0.3280 0.3326 0.1756
215 In 0.8272 0.3203 0.6761
216 In 0.6667 0.6661 0.8139
217 In 0.0113 0.0105 0.1526
218 In 0.6636 0.6666 0.5168
219 In 0.1526 0.6479 0.5229
220 Ca 0.8267 0.3201 0.9870
221 Ca 0.8253 0.3304 0.1770
222 Ca 0.5097 0.9974 0.8458
223 Ca 0.1657 0.6663 0.8152
224 Ca 0.0115 0.0172 0.3491
225 Ca 0.3309 0.3314 0.6793
226 Ca 0.6642 0.6623 0.3159
227 Ca 0.3265 0.3330 0.4885
228 Ca 0.0064 0.0020 0.8478
229 Ca 0.5070 0.0113 0.3484
230 Ca 0.8316 0.3304 0.4904
231 Ca 0.3322 0.3338 0.9887
232 Si 0.4816 0.6383 0.0863
233 Si 0.1779 0.3380 0.0835
234 Si 0.4985 0.6882 0.7552
235 Si 0.1777 0.0176 0.5814
236 Si 0.1567 0.9998 0.2492
237 Si 0.1519 0.3080 0.7513
238 Si 0.6583 0.3137 0.7492
239 Si 0.6673 0.3695 0.4176
240 Si 0.1681 0.3815 0.4149
241 Si 0.6777 0.0181 0.5806
242 Si 0.6533 0.9999 0.2516
243 Si 0.6690 0.9590 0.9175
244 Si 0.9819 0.3244 0.5853
245 Si 0.6770 0.3392 0.0828
246 Si 0.1667 0.9640 0.9193

Computed properties:
- Total DFT energy (no corrections): -1488.3 eV/cell
- Energy of formation from the pure elements: -2.414 eV/atom
- Spin magnetization: 0.0 μB per cell

SrCaNbInO6: optimized geometry, GGA-PBE.

Unit cell a=5.8282 b=5.8282 c=5.8282 alpha=60.00 beta=60.00 gamma=60.00
Sites, in units of the cell vectors:
1 O 0.2580 0.7420 0.2580
2 O 0.7420 0.7420 0.2580
3 O 0.2580 0.2580 0.7420
4 O 0.7420 0.2580 0.2580
5 O 0.2580 0.7420 0.7420
6 O 0.7420 0.2580 0.7420
7 Nb 0.5000 0.5000 0.5000
8 Sr 0.2500 0.2500 0.2500
9 In 0.0000 0.0000 0.0000
10 Ca 0.7500 0.7500 0.7500

Computed properties:
- Total DFT energy (no corrections): -70.8 eV/cell
- Energy of formation from the pure elements: -2.873 eV/atom
- Spin magnetization: 0.0 μB per cell

CaZrNbInO6: optimized geometry, GGA-PBE.

Unit cell a=5.8406 b=5.8406 c=5.8406 alpha=60.00 beta=60.00 gamma=60.00
Sites, in units of the cell vectors:
1 In 0.7500 0.7500 0.7500
2 O 0.2442 0.2442 0.7558
3 O 0.2442 0.7558 0.2442
4 O 0.2442 0.7558 0.7558
5 O 0.7558 0.2442 0.2442
6 O 0.7558 0.7558 0.2442
7 O 0.7558 0.2442 0.7558
8 Zr 0.5000 0.5000 0.5000
9 Nb 0.0000 0.0000 0.0000
10 Ca 0.2500 0.2500 0.2500

Computed properties:
- Total DFT energy (no corrections): -78.3 eV/cell
- Energy of formation from the pure elements: -2.929 eV/atom
- Spin magnetization: 0.0 μB per cell

CaIn2Ni: optimized geometry, GGA-PBE.

Unit cell a=5.6399 b=5.6399 c=7.6895 alpha=90.00 beta=90.00 gamma=134.36
Sites, in units of the cell vectors:
1 In 0.8514 0.1486 0.4471
2 In 0.8514 0.1486 0.0529
3 In 0.1486 0.8514 0.5529
4 In 0.1486 0.8514 0.9471
5 Ca 0.4362 0.5638 0.7500
6 Ca 0.5638 0.4362 0.2500
7 Ni 0.7186 0.2814 0.7500
8 Ni 0.2814 0.7186 0.2500

Computed properties:
- Total DFT energy (no corrections): -29.5 eV/cell
- Energy of formation from the pure elements: -0.363 eV/atom

CaIn4Ni: optimized geometry, GGA-PBE.

Unit cell a=4.5171 b=7.3123 c=8.6816 alpha=90.00 beta=105.08 gamma=90.00
Sites, in units of the cell vectors:
1 In 0.6882 0.0473 0.3764
2 In 0.5000 0.5000 0.0000
3 In 0.6882 0.4527 0.3764
4 In 0.3118 0.9527 0.6236
5 In 0.3118 0.5473 0.6236
6 In 0.0734 0.2500 0.1469
7 In 0.9266 0.7500 0.8531
8 In 0.5000 0.0000 0.0000
9 Ni 0.2261 0.2500 0.4522
10 Ni 0.7739 0.7500 0.5478
11 Ca 0.1242 0.7500 0.2484
12 Ca 0.8758 0.2500 0.7516

Computed properties:
- Total DFT energy (no corrections): -40.9 eV/cell
- Energy of formation from the pure elements: -0.280 eV/atom

CaIn4Ni: optimized geometry, GGA-PBE.

Unit cell a=8.5412 b=8.5412 c=7.1411 alpha=90.00 beta=90.00 gamma=150.67
Sites, in units of the cell vectors:
1 In 0.1877 0.8123 0.5425
2 In 0.8123 0.1877 0.4575
3 In 0.9996 0.0017 0.0000
4 In 0.0004 0.9983 0.5000
5 In 0.8178 0.1822 0.0460
6 In 0.4314 0.5686 0.2500
7 In 0.1877 0.8123 0.9575
8 In 0.5750 0.4250 0.7500
9 Ca 0.6242 0.3758 0.2500
10 Ca 0.3758 0.6242 0.7500
11 Ni 0.7241 0.2759 0.7500
12 Ni 0.2759 0.7241 0.2500

Computed properties:
- Total DFT energy (no corrections): -40.5 eV/cell
- Energy of formation from the pure elements: -0.242 eV/atom
- Spin magnetization: 0.0 μB per cell

What is the energy of formation from the pure elements in the fourth record?
-0.363 eV/atom

total DFT energy (no corrections) of number 4 (CaIn2Ni)?
-29.5 eV/cell

Repeat the sixth record exactly.
CaIn4Ni: optimized geometry, GGA-PBE.

Unit cell a=8.5412 b=8.5412 c=7.1411 alpha=90.00 beta=90.00 gamma=150.67
Sites, in units of the cell vectors:
1 In 0.1877 0.8123 0.5425
2 In 0.8123 0.1877 0.4575
3 In 0.9996 0.0017 0.0000
4 In 0.0004 0.9983 0.5000
5 In 0.8178 0.1822 0.0460
6 In 0.4314 0.5686 0.2500
7 In 0.1877 0.8123 0.9575
8 In 0.5750 0.4250 0.7500
9 Ca 0.6242 0.3758 0.2500
10 Ca 0.3758 0.6242 0.7500
11 Ni 0.7241 0.2759 0.7500
12 Ni 0.2759 0.7241 0.2500

Computed properties:
- Total DFT energy (no corrections): -40.5 eV/cell
- Energy of formation from the pure elements: -0.242 eV/atom
- Spin magnetization: 0.0 μB per cell